Record 1
K2UP2H4O10 (PBE, optimized geometry); energy of formation = -2.061 eV/atom; crystal system = monoclinic; total energy = -119.68 eV per formula unit
1.0
7.8267 0.0000 0.0000
0.0000 6.9573 0.0000
-3.8748 0.0000 10.0171
K U P H O
4 2 4 8 20
direct
0.0182 0.0000 0.4089
0.3408 0.2357 0.9179
0.6592 0.7357 0.0821
0.9818 0.5000 0.5911
0.1707 0.4590 0.2320
0.8293 0.9590 0.7680
0.1464 0.9512 0.1187
0.4208 0.6818 0.5526
0.5792 0.1818 0.4474
0.8536 0.4512 0.8813
0.2984 0.7275 0.7899
0.3390 0.9324 0.1758
0.3857 0.1782 0.6289
0.4383 0.4879 0.5970
0.5617 0.9879 0.4030
0.6143 0.6782 0.3711
0.6610 0.4324 0.8242
0.7016 0.2275 0.2101
0.0277 0.4425 0.3327
0.0629 0.7810 0.1689
0.0952 0.1389 0.1720
0.1001 0.9569 0.9671
0.2713 0.1988 0.6468
0.2782 0.7806 0.5976
0.3175 0.4747 0.1325
0.3513 0.6292 0.8595
0.3641 0.6727 0.3988
0.3842 0.2651 0.3866
0.6158 0.7651 0.6134
0.6359 0.1727 0.6012
0.6487 0.1292 0.1405
0.6825 0.9747 0.8675
0.7218 0.2806 0.4024
0.7287 0.6988 0.3532
0.8999 0.4569 0.0329
0.9048 0.6389 0.8280
0.9371 0.2810 0.8311
0.9723 0.9425 0.6673

=====

Record 2
KZn2P2HO8 (PBE, optimized geometry); energy of formation = -2.378 eV/atom; crystal system = triclinic; total energy = -85.23 eV per formula unit
1.0
5.2893 0.0000 0.0000
-2.6324 8.5293 0.0000
-1.9271 -1.7710 9.1985
K Zn P H O
2 4 4 2 16
direct
0.0959 0.3050 0.3207
0.9041 0.6950 0.6793
0.1845 0.8854 0.1089
0.2793 0.3860 0.7631
0.7207 0.6140 0.2369
0.8155 0.1146 0.8911
0.3459 0.7493 0.3955
0.4128 0.2445 0.0545
0.5872 0.7555 0.9455
0.6541 0.2507 0.6045
0.4669 0.9163 0.6085
0.5331 0.0837 0.3915
0.0845 0.6070 0.3293
0.2165 0.2366 0.9021
0.2433 0.1127 0.1224
0.3180 0.7782 0.9655
0.3432 0.8047 0.5605
0.3522 0.8929 0.3174
0.3995 0.3021 0.5980
0.4661 0.4042 0.1537
0.5339 0.5958 0.8463
0.6005 0.6979 0.4020
0.6478 0.1071 0.6826
0.6568 0.1953 0.4395
0.6820 0.2218 0.0345
0.7567 0.8873 0.8776
0.7835 0.7634 0.0979
0.9155 0.3930 0.6707

=====

Record 3
K2ZnP4H8O15 (PBE, optimized geometry); energy of formation = -1.833 eV/atom; crystal system = monoclinic; total energy = -171.18 eV per formula unit
1.0
4.6353 -6.0678 0.0000
4.6353 6.0678 0.0000
-1.6002 0.0000 6.5070
K Zn P H O
2 1 4 8 15
direct
0.2080 0.2080 0.0861
0.7920 0.7920 0.9139
0.0000 0.0000 0.5000
0.2362 0.7535 0.3307
0.2465 0.7638 0.6693
0.7535 0.2362 0.3307
0.7638 0.2465 0.6693
0.0087 0.4964 0.2423
0.2288 0.3614 0.6092
0.3614 0.2288 0.6092
0.4964 0.0087 0.2423
0.5036 0.9913 0.7577
0.6386 0.7712 0.3908
0.7712 0.6386 0.3908
0.9913 0.5036 0.7577
0.1098 0.8704 0.2677
0.1296 0.8902 0.7323
0.1440 0.5426 0.2234
0.1874 0.5683 0.7123
0.2401 0.2401 0.5442
0.4317 0.8126 0.2877
0.4574 0.8560 0.7766
0.5000 0.5000 0.0000
0.5426 0.1440 0.2234
0.5683 0.1874 0.7123
0.7599 0.7599 0.4558
0.8126 0.4317 0.2877
0.8560 0.4574 0.7766
0.8704 0.1098 0.2677
0.8902 0.1296 0.7323